[1]
This record from the Materials Project database describes Na2CdGe2S6 after structural relaxation. The functional is PBE.

```
Na2CdGe2S6
1.0
6.4387 3.7225 0.0000
-6.4387 3.7225 0.0000
0.0000 1.8477 11.5987
Na Cd Ge S
4 2 4 12
direct
0.1671 0.7656 0.1197
0.7656 0.1671 0.6197
0.5803 0.5575 0.9865
0.5575 0.5803 0.4865
0.6503 0.1524 0.2793
0.1524 0.6503 0.7793
0.2357 0.1868 0.7538
0.1868 0.2357 0.2538
0.1647 0.8892 0.5014
0.8892 0.1647 0.0014
0.4039 0.0313 0.8073
0.0313 0.4039 0.3073
0.9239 0.6102 0.6181
0.6102 0.9239 0.1181
0.0233 0.8901 0.3365
0.8901 0.0233 0.8365
0.9176 0.4759 0.9737
0.4759 0.9176 0.4737
0.5254 0.4161 0.2625
0.4161 0.5254 0.7625
0.1803 0.1799 0.5647
0.1799 0.1803 0.0647
```

Values from the calculation:
Its formation energy is -0.95 eV/atom. As for the magnetic moment: 0.0 μB per cell. The calculation puts the total energy at -0.15052 hartree per atom.

---

[2]
This record from the Materials Project database describes Cd2Ge3O9 after structural relaxation. The functional is PBE.

```
Cd2Ge3O9
1.0
-0.5444 -6.2669 3.5048
5.0195 -2.3208 -5.2974
3.9252 5.7081 4.0518
Cd Ge O
4 6 18
direct
0.8928 0.2304 0.1050
0.1072 0.7696 0.8950
0.8123 0.6261 0.3870
0.1877 0.3739 0.6130
0.6318 0.7357 0.9526
0.3682 0.2643 0.0474
0.3165 0.0535 0.3503
0.6835 0.9465 0.6497
0.7193 0.3780 0.6891
0.2807 0.6220 0.3109
0.1892 0.7955 0.2061
0.8108 0.2045 0.7939
0.4525 0.3140 0.5046
0.5475 0.6860 0.4954
0.7493 0.5510 0.8996
0.2507 0.4490 0.1004
0.7345 0.9211 0.8907
0.2655 0.0789 0.1093
0.4083 0.9869 0.5806
0.5917 0.0131 0.4194
0.0713 0.1146 0.3429
0.9287 0.8854 0.6571
0.0910 0.5152 0.3664
0.9090 0.4848 0.6336
0.7388 0.8202 0.2085
0.2612 0.1798 0.7915
0.3578 0.6619 0.8333
0.6422 0.3381 0.1667
```

Values from the calculation:
Its formation energy is -1.64 eV/atom. As for the magnetic moment: 2.0 μB per cell. The calculation puts the total energy at -0.20218 hartree per atom.

---

[3]
This record from the Materials Project database describes Cd3GeO6 after structural relaxation. The functional is PBE.

```
Cd3GeO6
1.0
-4.7243 1.8444 0.8938
-2.2588 -4.0530 -3.5757
-0.9618 -6.1197 7.5442
Cd Ge O
6 2 12
direct
0.7622 0.9789 0.0000
0.2378 0.4789 0.5000
0.7576 0.4914 0.1965
0.7576 0.4914 0.8035
0.2424 0.9914 0.3035
0.2424 0.9914 0.6965
0.6791 0.8428 0.5000
0.3209 0.3428 0.0000
0.4837 0.6130 0.0000
0.5163 0.1130 0.5000
0.9933 0.8010 0.1587
0.9933 0.8010 0.8413
0.0067 0.3010 0.3413
0.0067 0.3010 0.6587
0.0171 0.8273 0.5000
0.9829 0.3273 0.0000
0.5250 0.6947 0.3582
0.5250 0.6947 0.6418
0.4750 0.1947 0.1418
0.4750 0.1947 0.8582
```

Values from the calculation:
Its formation energy is -1.34 eV/atom. As for the magnetic moment: 4.0 μB per cell. The calculation puts the total energy at -0.17029 hartree per atom.